Density functional theory data (GGA-PBE) for an optimized crystal structure of K3Nb8O10F4.

Cell and atoms, written as extended XYZ:
```
25
Lattice="4.1961 0.0000 0.0000 0.0000 4.1961 0.0000 0.0000 0.0000 21.9577" Properties=species:S:1:pos:R:3 pbc="T T T"
K 0.0000 0.0000 0.0000
K 0.0000 0.0000 8.3939
K 2.0981 2.0981 11.1965
Nb 0.0000 0.0000 13.2596
Nb 0.0000 0.0000 17.4755
Nb 0.0000 2.0981 4.3023
Nb 0.0000 2.0981 15.2909
Nb 2.0981 0.0000 4.3023
Nb 2.0981 0.0000 15.2909
Nb 2.0981 2.0981 2.2391
Nb 2.0981 2.0981 6.3380
O 0.0000 0.0000 4.3081
O 0.0000 2.0981 2.1809
O 0.0000 2.0981 6.4414
O 0.0000 2.0981 13.1439
O 0.0000 2.0981 17.3748
O 2.0981 0.0000 2.1809
O 2.0981 0.0000 6.4414
O 2.0981 0.0000 13.1439
O 2.0981 0.0000 17.3748
O 2.0981 2.0981 15.2865
F 0.0000 0.0000 11.0303
F 0.0000 0.0000 19.4772
F 2.0981 2.0981 0.1368
F 2.0981 2.0981 8.5675
```

## Properties
Total DFT energy (no corrections)   -7.99 eV per atom
ΔH_f (0 K)   -2.6925 eV per atom
Total magnetization   0.0 Bohr magnetons per cell



Density functional theory data (GGA-PBE) for an optimized crystal structure of K5Nb4O12F.

Cell and atoms, written as extended XYZ:
```
44
Lattice="5.1784 0.0000 0.0000 0.0000 12.0545 0.0000 -4.6347 0.0000 12.0841" Properties=species:S:1:pos:R:3 pbc="T T T"
K 0.0000 0.0000 0.0000
K -2.3173 6.0273 6.0420
K -2.4120 1.7609 10.0278
K -0.0947 4.2664 3.9857
K 0.4910 8.0727 4.2317
K -1.8264 10.0090 10.2737
K 2.3701 2.0455 1.8104
K 0.0527 3.9818 7.8524
K 0.6384 7.7881 8.0984
K 2.9558 10.2936 2.0563
Nb 0.2317 7.7487 0.2794
Nb -2.0857 10.3331 6.3214
Nb 0.0520 0.1544 4.2950
Nb -2.2653 5.8729 10.3371
Nb 2.8090 6.1816 1.7470
Nb 0.4917 11.9001 7.7891
Nb 2.6294 1.7214 5.7627
Nb 0.3121 4.3058 11.8047
O -1.5157 1.2404 3.9987
O -3.8331 4.7869 10.0408
O -4.2236 2.6345 12.0730
O -1.9063 3.3928 6.0310
O -3.3213 7.5626 10.6861
O -1.0039 10.5192 4.6440
O -1.0305 0.4973 6.5096
O 1.2869 5.5299 0.4675
O -1.6859 6.2869 8.6728
O 0.6314 11.7949 2.6307
O 1.7701 7.9681 1.4474
O -0.5472 10.1137 7.4894
O 1.0909 1.9408 4.5947
O -1.2264 4.0864 10.6367
O -0.0877 0.2596 9.4533
O 2.2297 5.7676 3.4113
O -0.7431 6.5246 11.6166
O 1.5742 11.5572 5.5745
O 1.5476 1.5353 7.4401
O 3.8650 4.4919 1.3980
O 2.4500 8.6617 6.0531
O 4.7673 9.4200 0.0111
O 4.3768 7.2676 2.0433
O 2.0594 10.8141 8.0853
F 2.5892 0.0000 0.0000
F 0.2719 6.0273 6.0420
```

## Properties
Total DFT energy (no corrections)   -7.35 eV per atom
ΔH_f (0 K)   -2.8742 eV per atom



Density functional theory data (GGA-PBE) for an optimized crystal structure of KSrNb2O6F.

Cell and atoms, written as extended XYZ:
```
22
Lattice="-1.9569 3.8922 11.3941 1.9569 -3.8922 11.3941 1.9569 3.8922 -11.3941" Properties=species:S:1:pos:R:3 pbc="T T T"
K 0.0000 0.0000 5.3736
K 0.0000 0.0000 17.4147
Sr 0.0000 0.0000 0.0000
Sr 0.0000 3.8922 0.0000
Nb 1.9569 1.9249 -2.4530
Nb 1.9569 1.9249 2.4530
Nb 0.0000 1.9673 8.9411
Nb 0.0000 1.9673 13.8471
O 1.9569 1.7673 -4.2382
O 1.9569 0.0000 1.8252
O 1.9569 -1.9591 9.4517
O 0.0000 1.9331 1.9424
O 0.0000 0.0000 9.3203
O 1.9569 1.7673 4.2382
O 0.0000 2.1250 7.1560
O 0.0000 0.0000 13.4680
O 1.9569 1.9591 9.4517
O 0.0000 5.8513 1.9424
O 0.0000 3.8922 9.5689
O 0.0000 2.1250 15.6323
F 1.9569 2.0794 0.0000
F 0.0000 1.8128 11.3941
```

## Properties
Total DFT energy (no corrections)   -7.76 eV per atom
ΔH_f (0 K)   -3.2078 eV per atom
Total magnetization   0.0 Bohr magnetons per cell



Density functional theory data (GGA-PBE) for an optimized crystal structure of K3NdF6.

Cell and atoms, written as extended XYZ:
```
10
Lattice="0.0000 4.8156 4.8156 4.8156 0.0000 4.8156 4.8156 4.8156 0.0000" Properties=species:S:1:pos:R:3 pbc="T T T"
K 0.0000 0.0000 0.0000
K 2.4078 2.4078 2.4078
K 7.2234 7.2234 7.2234
Nd 4.8156 4.8156 4.8156
F 4.8156 4.8156 2.5423
F 4.8156 2.5423 4.8156
F 7.0890 4.8156 4.8156
F 2.5423 4.8156 4.8156
F 4.8156 7.0890 4.8156
F 4.8156 4.8156 7.0890
```

## Properties
Total DFT energy (no corrections)   -5.14 eV per atom
ΔH_f (0 K)   -3.4558 eV per atom
Total magnetization   0.0 Bohr magnetons per cell



Density functional theory data (GGA-PBE) for an optimized crystal structure of K2NdF5.

Cell and atoms, written as extended XYZ:
```
32
Lattice="11.1050 0.0000 0.0000 0.0000 7.5580 0.0000 0.0000 0.0000 6.7767" Properties=species:S:1:pos:R:3 pbc="T T T"
K 1.9158 0.0243 0.1721
K 1.9158 3.7547 0.1721
K 3.6367 3.8034 3.5604
K 3.6367 7.5337 3.5604
K 7.4683 0.0243 3.2163
K 7.4683 3.7547 3.2163
K 9.1892 3.8034 6.6046
K 9.1892 7.5337 6.6046
Nd 0.0265 1.8895 3.8452
Nd 5.5260 5.6685 0.4569
Nd 5.5790 1.8895 6.3198
Nd 11.0785 5.6685 2.9315
F 0.1228 1.8895 6.1361
F 0.9176 4.0237 4.3725
F 0.9176 7.3134 4.3725
F 1.8520 1.8895 2.4438
F 2.1904 5.6685 2.2237
F 3.3621 1.8895 5.6121
F 3.7005 5.6685 5.8322
F 4.6349 0.2447 0.9842
F 4.6349 3.5344 0.9842
F 5.4297 5.6685 2.7478
F 5.6753 1.8895 4.0289
F 6.4701 4.0237 5.7925
F 6.4701 7.3134 5.7925
F 7.4045 1.8895 0.9445
F 7.7428 5.6685 1.1646
F 8.9146 1.8895 4.5529
F 9.2530 5.6685 4.3328
F 10.1874 0.2447 2.4041
F 10.1874 3.5344 2.4041
F 10.9822 5.6685 0.6406
```

## Properties
Total DFT energy (no corrections)   -5.50 eV per atom
ΔH_f (0 K)   -3.7204 eV per atom



Density functional theory data (GGA-PBE) for an optimized crystal structure of K2RbNdF6.

Cell and atoms, written as extended XYZ:
```
10
Lattice="0.0000 4.9399 4.9399 4.9399 0.0000 4.9399 4.9399 4.9399 0.0000" Properties=species:S:1:pos:R:3 pbc="T T T"
K 2.4699 2.4699 2.4699
K 7.4098 7.4098 7.4098
Rb 0.0000 0.0000 0.0000
Nd 4.9399 4.9399 4.9399
F 4.9399 4.9399 2.6654
F 4.9399 2.6654 4.9399
F 7.2144 4.9399 4.9399
F 2.6654 4.9399 4.9399
F 4.9399 7.2144 4.9399
F 4.9399 4.9399 7.2144
```

## Properties
Total DFT energy (no corrections)   -5.09 eV per atom
ΔH_f (0 K)   -3.4192 eV per atom
Total magnetization   0.0 Bohr magnetons per cell



Density functional theory data (GGA-PBE) for an optimized crystal structure of K3NpO2F5.

Cell and atoms, written as extended XYZ:
```
44
Lattice="-4.6417 4.6417 9.1912 4.6417 -4.6417 9.1912 4.6417 4.6417 -9.1912" Properties=species:S:1:pos:R:3 pbc="T T T"
K 6.5947 0.1408 0.2155
K 4.6417 2.3208 -2.2978
K 2.1800 -0.3678 4.3801
K 6.8217 -0.3678 4.8111
K 0.0000 2.3208 2.2978
K 2.6887 4.5008 0.2155
K 1.9530 0.1408 8.9756
K 4.6417 2.3208 6.8934
K -2.1800 5.0095 4.3801
K 2.4616 5.0095 4.8111
K 0.0000 2.3208 11.4890
K -1.9530 4.5008 8.9756
Np 4.6417 -2.3208 7.2841
Np 4.6417 2.3208 2.6885
Np 0.0000 2.3208 6.5027
Np 0.0000 6.9625 1.9071
O 5.0211 4.1111 -7.2921
O 5.0211 -0.5306 7.2921
O 6.4319 1.9414 2.6965
O 2.8514 2.7002 2.6965
O 1.7902 1.9414 6.4947
O -1.7903 2.7002 6.4947
O -0.3794 5.1722 1.8991
O -0.3794 0.5306 16.4833
F 4.6417 -2.3208 4.9698
F 2.1211 1.8814 -2.6684
F 4.2023 0.1997 1.9272
F 2.5205 -1.8814 6.5228
F 1.3309 2.1396 -0.1064
F 3.3107 -2.1396 9.0848
F 4.6417 2.3208 0.3742
F 4.4604 0.9899 4.4892
F -0.1813 0.9899 4.7020
F 4.2023 4.8414 -1.9272
F 0.4394 -0.1997 11.1183
F 4.8229 3.6518 4.4892
F 0.1813 3.6518 4.7020
F 0.0000 2.3208 8.8170
F 1.3309 6.7812 0.1064
F 3.3107 2.5021 9.2976
F 2.1211 6.5231 2.6684
F 0.4394 4.4420 7.2640
F 2.5205 2.7602 11.8596
F 0.0000 6.9625 4.2214
```

## Properties
Total DFT energy (no corrections)   -6.19 eV per atom
ΔH_f (0 K)   -3.2780 eV per atom
Total magnetization   4.0 Bohr magnetons per cell



Density functional theory data (GGA-PBE) for an optimized crystal structure of K3NpO2F5.

Cell and atoms, written as extended XYZ:
```
44
Lattice="-4.6652 4.6652 9.2047 4.6652 -4.6652 9.2047 4.6652 4.6652 -9.2047" Properties=species:S:1:pos:R:3 pbc="T T T"
K 1.9430 0.0000 0.0000
K 7.3873 0.0000 0.0000
K 4.6652 -2.3326 6.9035
K 2.3326 4.2756 -4.6023
K 2.3326 -0.3896 4.6023
K 4.6652 2.3326 2.3012
K 1.9430 4.6652 0.0000
K 2.7221 0.0000 9.2047
K 0.0000 2.3326 6.9035
K -2.3326 5.0547 4.6023
K 2.3326 5.0547 4.6023
K 0.0000 6.9977 2.3012
Np 4.6652 2.3326 -1.8951
Np 0.0000 2.3326 2.7072
Np 4.6652 2.3326 6.4974
Np 0.0000 2.3326 11.0998
O 4.6652 -0.5049 1.8715
O 4.6652 4.1602 -1.8715
O 1.8276 2.3326 2.7308
O 2.8375 -2.3326 11.9355
O 1.8276 6.9977 -2.7308
O 2.8375 2.3326 6.4739
O 0.0000 0.5049 11.0762
O 0.0000 5.1701 7.3332
F 4.6652 2.3326 -4.2084
F 2.5120 2.3326 -2.6824
F 6.8184 2.3326 -2.6824
F 0.0000 0.1794 1.9199
F 3.3033 2.3326 -0.0959
F 6.0270 2.3326 -0.0959
F 0.0000 2.3326 0.3940
F 0.0000 0.9707 4.5064
F 4.6652 0.9707 4.6983
F 4.6652 0.1794 7.2848
F 0.0000 4.4858 1.9199
F 0.0000 3.6945 4.5064
F 4.6652 3.6945 4.6983
F 4.6652 2.3326 8.8107
F -1.3619 2.3326 9.3006
F 1.3619 2.3326 9.3006
F 4.6652 4.4858 7.2848
F -2.1532 2.3326 11.8871
F 2.1532 2.3326 11.8871
F 0.0000 2.3326 13.4131
```

## Properties
Total DFT energy (no corrections)   -6.19 eV per atom
ΔH_f (0 K)   -3.2755 eV per atom
Total magnetization   4.0 Bohr magnetons per cell